# 1
PBE TeMoWSe3, optimized geometry; E_form = -4.38 eV per formula unit; E_tot = -6.733 eV/atom; E above lowest polymorph = 0.00 eV/f.u.
1.0
0.322 1.998 2.706
-1.843 -2.825 0.195
31.239 -19.639 10.774
Te Mo W Se
2 2 2 6
direct
0.333 0.667 0.045 Te
0.333 0.667 0.143 Te
0.000 0.000 0.094 Mo
0.000 0.000 0.470 Mo
0.333 0.667 0.282 W
0.333 0.667 0.658 W
0.000 0.000 0.325 Se
0.000 0.000 0.701 Se
0.333 0.667 0.427 Se
0.333 0.667 0.513 Se
0.000 0.000 0.239 Se
0.000 0.000 0.614 Se



# 2
PBE Te2MoWSe2, optimized geometry; E_form = -3.26 eV per formula unit; E_tot = -6.567 eV/atom; E above lowest polymorph = 0.00 eV/f.u.
1.0
-2.366 -0.762 2.371
-0.358 -1.152 -3.217
19.839 -32.381 9.388
Te Mo W Se
4 2 2 4
direct
0.333 0.667 0.329 Te
0.667 0.333 0.671 Te
0.667 0.333 0.766 Te
0.333 0.667 0.234 Te
0.333 0.667 0.718 Mo
0.667 0.333 0.282 Mo
0.333 0.667 0.094 W
0.667 0.333 0.906 W
0.333 0.667 0.948 Se
0.667 0.333 0.052 Se
0.667 0.333 0.136 Se
0.333 0.667 0.864 Se



What is the E_form in the second record? -3.26 eV per formula unit



What is the E above lowest polymorph in the second record? 0.00 eV/f.u.